MgCo3O7 | GGA+U | relaxed Values from VASP.

Values from the calculation:
Energy relative to the lowest polymorph listed for this composition ... 0.04 eV per formula unit
M_tot ... 28.0 μB/cell
Uncorrected energy ... -61.2 eV per formula unit
Total energy after the MP2020 corrections ... -70.95 eV/f.u.
DFT formation energy ... -1218 meV per atom

The structure in Quantum ESPRESSO input format:
```
&SYSTEM
  ibrav = 0, nat = 44, ntyp = 3
/
ATOMIC_SPECIES
Mg 24.30 Mg.upf
Co 58.93 Co.upf
O 16.00 O.upf
CELL_PARAMETERS angstrom
10.006 0.000 0.000
0.000 10.029 0.000
0.000 0.000 5.242
ATOMIC_POSITIONS crystal
Mg 0.074 0.250 0.148
Mg 0.426 0.750 0.648
Mg 0.574 0.250 0.352
Mg 0.926 0.750 0.852
Co 0.187 0.526 0.698
Co 0.187 0.974 0.698
Co 0.226 0.750 0.192
Co 0.274 0.250 0.692
Co 0.313 0.026 0.198
Co 0.313 0.474 0.198
Co 0.687 0.526 0.802
Co 0.687 0.974 0.802
Co 0.726 0.750 0.308
Co 0.774 0.250 0.808
Co 0.813 0.026 0.302
Co 0.813 0.474 0.302
O 0.036 0.594 0.720
O 0.036 0.906 0.720
O 0.060 0.750 0.165
O 0.211 0.119 0.459
O 0.211 0.381 0.459
O 0.212 0.122 0.938
O 0.212 0.378 0.938
O 0.288 0.622 0.438
O 0.288 0.878 0.438
O 0.289 0.619 0.959
O 0.289 0.881 0.959
O 0.440 0.250 0.665
O 0.464 0.094 0.220
O 0.464 0.406 0.220
O 0.536 0.594 0.780
O 0.536 0.906 0.780
O 0.560 0.750 0.335
O 0.711 0.119 0.041
O 0.711 0.381 0.041
O 0.712 0.122 0.562
O 0.712 0.378 0.562
O 0.788 0.622 0.062
O 0.788 0.878 0.062
O 0.789 0.619 0.541
O 0.789 0.881 0.541
O 0.940 0.250 0.835
O 0.964 0.094 0.280
O 0.964 0.406 0.280
```